1.
PrFe2Si2 | meta-GGA r2SCAN | relaxed

Properties
Crystal system = tetragonal
Formation enthalpy at 0 K = -419 meV/atom

a = 4.018 Å, b = 4.018 Å, c = 9.802 Å
α = 90.00°, β = 90.00°, γ = 90.00°
Space group I4/mmm (No. 139)
One atom of each set of equivalent atoms:
Pr1 0.000 0.000 0.000 x2
Fe1 0.000 0.500 0.250 x4
Si1 0.000 0.000 0.355 x4

2.
ZrMn2 | meta-GGA r2SCAN | relaxed

Properties
Crystal system = hexagonal
Formation enthalpy at 0 K = -182 meV/atom

a = 5.2631 Å, b = 5.2631 Å, c = 17.1740 Å
α = 90.00°, β = 90.00°, γ = 120.00°
Space group P6_3/mmc (No. 194)
One atom of each set of equivalent atoms:
Zr1 0.0000 0.0000 0.0938 x4
Zr2 0.3333 0.6667 0.1559 x4
Mn1 0.0000 0.5000 0.0000 x6
Mn2 0.1666 0.3332 0.7500 x6
Mn3 0.3333 0.6667 0.6245 x4

3.
YZnSn | meta-GGA r2SCAN | relaxed

Properties
Crystal system = hexagonal
Formation enthalpy at 0 K = -682 meV/atom

a = 4.4528 Å, b = 4.4528 Å, c = 16.1823 Å
α = 90.00°, β = 90.00°, γ = 120.00°
Space group P6_3/mmc (No. 194)
One atom of each set of equivalent atoms:
Y1 0.0000 0.0000 0.0000 x2
Y2 0.0000 0.0000 0.2500 x2
Zn1 0.3333 0.6667 0.1611 x4
Sn1 0.3333 0.6667 0.6142 x4

4.
Yb3Ta | meta-GGA r2SCAN | relaxed

Properties
Crystal system = tetragonal
Formation enthalpy at 0 K = 274 meV/atom

a = 4.670 Å, b = 4.670 Å, c = 9.291 Å
α = 90.00°, β = 90.00°, γ = 90.00°
Space group I4/mmm (No. 139)
One atom of each set of equivalent atoms:
Yb1 0.000 0.000 0.000 x2
Yb2 0.000 0.500 0.250 x4
Ta1 0.000 0.000 0.500 x2

5.
NdInCu4 | meta-GGA r2SCAN | relaxed

Properties
Crystal system = cubic
Formation enthalpy at 0 K = -250 meV/atom

a = 7.284 Å, b = 7.284 Å, c = 7.284 Å
α = 90.00°, β = 90.00°, γ = 90.00°
Space group F-43m (No. 216)
One atom of each set of equivalent atoms:
Nd1 0.000 0.000 0.000 x4
In1 0.250 0.250 0.750 x4
Cu1 0.124 0.124 0.376 x16

6.
Bi2Rh3S2 | meta-GGA r2SCAN | relaxed

Properties
Crystal system = monoclinic
Formation enthalpy at 0 K = -421 meV/atom

a = 11.357 Å, b = 8.435 Å, c = 7.984 Å
α = 90.00°, β = 132.69°, γ = 90.00°
Space group C2/m (No. 12)
One atom of each set of equivalent atoms:
Bi1 0.004 0.000 0.252 x4
Bi2 0.013 0.500 0.776 x4
Rh1 0.000 0.227 0.000 x4
Rh2 0.234 0.000 0.748 x4
Rh3 0.250 0.250 0.000 x4
S1 0.227 0.269 0.692 x8

7.
Cs2UCl6 | meta-GGA r2SCAN | relaxed

Properties
Crystal system = trigonal
Formation enthalpy at 0 K = -2243 meV/atom

a = 7.5125 Å, b = 7.5125 Å, c = 6.1218 Å
α = 90.00°, β = 90.00°, γ = 120.00°
Space group P-3m1 (No. 164)
One atom of each set of equivalent atoms:
Cs1 0.3333 0.6667 0.2341 x2
U1 0.0000 0.0000 0.5000 x1
Cl1 0.1675 0.3350 0.7397 x6

8.
Y2TlZn | meta-GGA r2SCAN | relaxed

Properties
Crystal system = cubic
Formation enthalpy at 0 K = -421 meV/atom

a = 7.362 Å, b = 7.362 Å, c = 7.362 Å
α = 90.00°, β = 90.00°, γ = 90.00°
Space group Fm-3m (No. 225)
One atom of each set of equivalent atoms:
Y1 0.250 0.250 0.250 x8
Tl1 0.000 0.000 0.000 x4
Zn1 0.000 0.000 0.500 x4

9.
PrY | meta-GGA r2SCAN | relaxed

Properties
Relative energy among the computed polymorphs = 37 meV/atom
Crystal system = hexagonal
Formation enthalpy at 0 K = 54 meV/atom

a = 3.7130 Å, b = 3.7130 Å, c = 5.9350 Å
α = 90.00°, β = 90.00°, γ = 120.00°
Space group P-6m2 (No. 187)
One atom of each set of equivalent atoms:
Pr1 0.0000 0.0000 0.0000 x1
Y1 0.3333 0.6667 0.5000 x1

10.
Cu4SiP8 | meta-GGA r2SCAN | relaxed

Properties
Crystal system = tetragonal
Formation enthalpy at 0 K = -172 meV/atom

a = 12.167 Å, b = 12.167 Å, c = 5.692 Å
α = 90.00°, β = 90.00°, γ = 90.00°
Space group I4_1/a (No. 88, origin choice 2)
One atom of each set of equivalent atoms:
Cu1 0.012 0.048 0.189 x16
Si1 0.000 0.250 0.625 x4
P1 0.089 0.136 0.871 x16
P2 0.154 0.477 0.604 x16

11.
LuRh2 | meta-GGA r2SCAN | relaxed

Properties
Crystal system = cubic
Formation enthalpy at 0 K = -830 meV/atom

a = 7.412 Å, b = 7.412 Å, c = 7.412 Å
α = 90.00°, β = 90.00°, γ = 90.00°
Space group Fd-3m (No. 227, origin choice 2)
One atom of each set of equivalent atoms:
Lu1 0.125 0.125 0.125 x8
Rh1 0.000 0.000 0.500 x16

12.
Ca2AgPd | meta-GGA r2SCAN | relaxed

Properties
Crystal system = cubic
Formation enthalpy at 0 K = -462 meV/atom

a = 7.199 Å, b = 7.199 Å, c = 7.199 Å
α = 90.00°, β = 90.00°, γ = 90.00°
Space group Fm-3m (No. 225)
One atom of each set of equivalent atoms:
Ca1 0.250 0.250 0.250 x8
Ag1 0.000 0.000 0.000 x4
Pd1 0.000 0.000 0.500 x4

13.
Ca5Au2 | meta-GGA r2SCAN | relaxed

Properties
Crystal system = triclinic
Formation enthalpy at 0 K = -573 meV/atom

a = 6.910 Å, b = 7.728 Å, c = 9.088 Å
α = 82.93°, β = 67.76°, γ = 89.92°
Space group P-1 (No. 2)
One atom of each set of equivalent atoms:
Ca1 0.015 0.079 0.182 x2
Ca2 0.197 0.421 0.818 x2
Ca3 0.201 0.685 0.436 x2
Ca4 0.363 0.185 0.436 x2
Ca5 0.425 0.750 0.000 x2
Au1 0.181 0.419 0.222 x2
Au2 0.403 0.082 0.778 x2

14.
Tb2MgNi2 | meta-GGA r2SCAN | relaxed

Properties
Crystal system = tetragonal
Formation enthalpy at 0 K = -337 meV/atom

a = 7.350 Å, b = 7.350 Å, c = 3.711 Å
α = 90.00°, β = 90.00°, γ = 90.00°
Space group P4/mbm (No. 127)
One atom of each set of equivalent atoms:
Tb1 0.173 0.327 0.000 x4
Mg1 0.000 0.000 0.500 x2
Ni1 0.117 0.617 0.500 x4

15.
PmSmAl2 | meta-GGA r2SCAN | relaxed

Properties
Crystal system = cubic
Formation enthalpy at 0 K = -415 meV/atom

a = 7.362 Å, b = 7.362 Å, c = 7.362 Å
α = 90.00°, β = 90.00°, γ = 90.00°
Space group Fm-3m (No. 225)
One atom of each set of equivalent atoms:
Pm1 0.000 0.000 0.000 x4
Sm1 0.000 0.000 0.500 x4
Al1 0.250 0.250 0.250 x8

16.
ZrPbF6 | meta-GGA r2SCAN | relaxed

Properties
Crystal system = orthorhombic
Formation enthalpy at 0 K = -3510 meV/atom

a = 7.527 Å, b = 11.246 Å, c = 5.310 Å
α = 90.00°, β = 90.00°, γ = 90.00°
Space group Cmme (No. 67)
One atom of each set of equivalent atoms:
Zr1 0.250 0.000 0.000 x4
Pb1 0.000 0.250 0.466 x4
F1 0.000 0.069 0.164 x8
F2 0.187 0.129 0.744 x16

17.
As2Pb3O8 | meta-GGA r2SCAN | relaxed

Properties
Crystal system = monoclinic
Formation enthalpy at 0 K = -1460 meV/atom

a = 7.505 Å, b = 6.217 Å, c = 9.424 Å
α = 90.00°, β = 114.56°, γ = 90.00°
Space group P2_1/c (No. 14)
One atom of each set of equivalent atoms:
As1 0.204 0.020 0.403 x4
Pb1 0.000 0.000 0.000 x2
Pb2 0.379 0.588 0.289 x4
O1 0.035 0.539 0.221 x4
O2 0.255 0.701 0.023 x4
O3 0.282 0.241 0.517 x4
O4 0.322 0.529 0.784 x4

18.
UP3 | meta-GGA r2SCAN | relaxed

Properties
Crystal system = hexagonal
Formation enthalpy at 0 K = -612 meV/atom

a = 5.4212 Å, b = 5.4212 Å, c = 5.2696 Å
α = 90.00°, β = 90.00°, γ = 120.00°
Space group P6_3/mmc (No. 194)
One atom of each set of equivalent atoms:
U1 0.3333 0.6667 0.2500 x2
P1 0.1860 0.3721 0.7500 x6

19.
CdP2O6 | meta-GGA r2SCAN | relaxed

Properties
Crystal system = monoclinic
Formation enthalpy at 0 K = -2190 meV/atom

a = 12.436 Å, b = 8.656 Å, c = 10.450 Å
α = 90.00°, β = 119.75°, γ = 90.00°
Space group C2/c (No. 15)
One atom of each set of equivalent atoms:
Cd1 0.000 0.036 0.250 x4
Cd2 0.250 0.250 0.500 x4
P1 0.010 0.270 0.979 x8
P2 0.189 0.499 0.692 x8
O1 0.040 0.241 0.419 x8
O2 0.052 0.138 0.926 x8
O3 0.090 0.365 0.661 x8
O4 0.121 0.391 0.052 x8
O5 0.206 0.072 0.321 x8
O6 0.218 0.425 0.330 x8

| no. | uncorrected energy (eV/cell) |
| --- | --- |
| 1 | -155.75 |
| 2 | -421.31 |
| 3 | -224.07 |
| 4 | -314.17 |
| 5 | -387.55 |
| 6 | -833.72 |
| 7 | -187.26 |
| 8 | -417.61 |
| 9 | -49.61 |
| 10 | -505.64 |
| 11 | -710.74 |
| 12 | -240.96 |
| 13 | -280.74 |
| 14 | -184.54 |
| 15 | -297.59 |
| 16 | -503.49 |
| 17 | -530.05 |
| 18 | -218.79 |
| 19 | -749.23 |